No. 1
The following is a DFT calculation (PBE-GGA) of a relaxed structure of Na6Ca4Sc4SiS11O48.

**Magnetization**: 0.0000 μB per atom
**Space group**: P1
**DFT formation energy**: -2.565 eV per atom

```
222
Lattice="9.067 0.000 0.000 0.028 15.682 0.000 0.003 0.001 23.577" Properties=species:S:1:pos:R:3 pbc="T T T"
Na 0.000 0.000 0.000
Na 9.065 0.026 11.684
Na 0.078 10.594 3.890
Na 0.141 5.225 19.728
Na 1.253 7.771 17.679
Na 1.584 12.801 17.610
Na 1.733 2.987 17.628
Na 2.921 4.969 5.840
Na 4.505 2.650 15.592
Na 4.541 13.078 7.813
Na 4.540 7.826 11.731
Na 4.534 7.873 0.017
Na 4.631 2.552 3.961
Na 4.791 13.074 19.686
Na 6.102 4.939 17.573
Na 7.818 7.771 5.972
Na 8.849 5.112 7.894
Na 8.896 10.580 15.639
Ca 9.085 10.428 12.157
Ca 9.096 15.641 8.274
Ca 0.022 5.197 11.368
Ca 0.037 10.584 7.496
Ca 0.044 5.220 16.028
Ca 4.514 2.636 12.165
Ca 4.544 13.057 23.261
Ca 4.551 13.033 4.225
Ca 4.541 2.567 19.218
Ca 8.949 5.161 4.247
Ca 8.968 10.513 19.194
Ca 9.064 5.206 23.234
Sc 4.481 7.796 20.097
Sc 4.502 2.596 0.338
Sc 4.510 7.766 15.269
Sc 4.535 13.069 11.360
Sc 4.560 7.719 3.538
Sc 4.581 7.805 8.253
Sc 4.621 2.591 7.391
Sc 4.692 13.070 16.156
Sc 8.960 15.549 20.069
Sc 9.041 15.577 15.215
Sc 9.048 0.005 3.540
Sc 9.075 10.454 0.341
Si 3.209 5.555 17.685
Si 5.850 5.513 5.932
Si 7.738 13.398 17.611
S 1.338 12.796 21.573
S 1.340 13.372 5.809
S 1.345 2.757 13.811
S 1.382 8.151 21.559
S 1.388 2.273 5.869
S 1.427 7.623 13.806
S 1.820 2.544 21.565
S 1.930 7.857 5.861
S 1.953 13.095 13.802
S 2.587 15.620 17.623
S 2.808 10.457 9.832
S 2.809 5.203 1.954
S 3.122 10.614 1.927
S 3.136 15.496 1.938
S 3.204 4.945 9.683
S 3.237 0.242 9.812
S 3.282 10.112 17.640
S 5.815 10.777 13.761
S 5.837 10.069 5.873
S 5.851 4.960 21.572
S 5.891 15.301 13.750
S 5.908 0.292 21.620
S 6.294 5.262 13.811
S 6.365 10.392 21.628
S 6.383 0.011 5.867
S 7.115 7.822 17.663
S 7.197 2.605 9.777
S 7.366 13.057 1.944
S 7.634 12.821 9.893
S 7.633 2.756 1.914
S 7.666 8.083 9.733
S 7.677 7.670 1.957
S 7.788 2.207 17.656
O 0.661 14.139 21.527
O 0.668 12.042 5.769
O 0.689 1.412 13.888
O 0.744 12.055 22.731
O 0.775 3.441 12.641
O 0.807 14.152 4.631
O 0.815 6.798 21.711
O 0.825 8.967 13.705
O 0.819 1.695 7.074
O 0.892 8.725 20.290
O 0.893 3.671 5.721
O 0.916 7.025 15.068
O 0.961 3.736 21.720
O 0.986 9.000 5.935
O 1.010 9.018 22.718
O 1.002 1.298 21.529
O 1.041 14.070 7.055
O 1.045 1.473 4.653
O 1.092 11.908 13.715
O 1.087 3.506 15.072
O 1.104 12.069 20.311
O 1.127 14.341 13.854
O 1.135 6.777 12.641
O 1.146 6.584 5.774
O 1.576 5.428 17.698
O 1.628 10.472 1.715
O 1.655 15.674 2.140
O 1.713 0.149 16.429
O 1.730 5.060 9.724
O 1.756 15.435 18.844
O 1.791 10.165 17.727
O 1.778 0.051 9.702
O 1.923 5.402 0.805
O 1.971 10.236 11.013
O 2.009 10.705 8.616
O 2.051 4.980 3.205
O 2.569 2.699 20.298
O 2.762 8.009 4.642
O 2.770 7.761 7.074
O 2.781 12.985 15.041
O 2.771 2.429 22.722
O 2.788 12.973 21.739
O 2.806 13.227 5.698
O 2.810 2.589 13.717
O 2.833 13.220 12.606
O 2.886 8.084 21.540
O 2.891 2.350 5.954
O 2.925 7.763 13.885
O 3.304 11.450 3.125
O 3.321 14.662 0.746
O 3.398 14.365 17.481
O 3.430 1.125 17.731
O 3.503 1.022 11.021
O 3.553 4.102 8.486
O 3.603 6.510 18.989
O 3.605 9.306 16.450
O 3.683 11.675 10.024
O 3.682 6.416 2.060
O 3.691 9.266 9.665
O 3.702 9.253 2.110
O 3.694 4.004 1.733
O 3.707 1.183 1.723
O 3.740 11.221 0.740
O 3.754 4.364 10.909
O 3.773 14.915 3.126
O 3.783 11.515 17.497
O 3.795 6.317 9.547
O 3.805 0.903 8.600
O 3.825 6.359 16.383
O 3.860 9.531 18.873
O 3.897 4.069 17.670
O 3.915 14.560 9.929
O 5.097 4.044 6.094
O 5.151 6.212 4.592
O 5.173 9.443 13.874
O 5.187 6.308 21.532
O 5.271 11.425 5.787
O 5.272 11.450 12.551
O 5.260 0.954 13.696
O 5.265 4.213 22.729
O 5.309 9.426 7.099
O 5.352 14.609 14.959
O 5.374 14.618 21.757
O 5.395 0.886 20.385
O 5.400 4.087 13.725
O 5.456 6.493 7.186
O 5.462 6.523 13.855
O 5.490 11.573 21.764
O 5.488 11.596 14.973
O 5.491 9.250 4.673
O 5.532 14.515 5.713
O 5.544 9.140 21.569
O 5.546 1.260 5.934
O 5.556 1.143 22.800
O 5.582 14.496 12.542
O 5.612 4.238 20.307
O 6.098 13.243 17.493
O 6.137 12.945 10.062
O 6.153 2.589 1.700
O 6.163 7.974 9.666
O 6.196 7.842 2.110
O 6.269 7.757 18.879
O 6.288 2.675 8.575
O 6.302 7.990 16.441
O 6.320 2.371 17.721
O 6.407 2.504 11.006
O 6.548 12.792 3.135
O 6.548 13.311 0.754
O 7.057 5.129 15.081
O 7.139 10.547 20.393
O 7.183 5.385 12.652
O 7.203 15.543 7.076
O 7.284 10.264 22.809
O 7.282 10.647 13.701
O 7.272 0.172 4.659
O 7.306 5.129 21.731
O 7.332 10.099 5.925
O 7.381 15.411 13.837
O 7.414 0.226 21.571
O 7.468 5.476 5.857
O 7.806 3.578 3.120
O 7.835 12.055 8.646
O 7.879 6.532 17.614
O 7.915 6.793 0.808
O 7.973 8.893 10.918
O 8.018 3.842 9.762
O 8.058 14.273 18.988
O 8.061 1.413 9.695
O 8.094 8.932 17.715
O 8.130 1.457 16.434
O 8.186 8.714 8.489
O 8.212 12.138 11.053
O 8.218 14.174 9.817
O 8.252 14.254 2.153
O 8.233 1.393 2.117
O 8.254 11.856 1.733
O 8.252 6.726 9.828
O 8.272 7.128 3.199
O 8.272 3.350 0.739
O 8.288 9.024 1.725
O 8.348 1.556 18.874
O 8.390 14.210 16.342
O 8.407 3.572 17.614
O 8.524 11.973 17.606
```

No. 2
The following is a DFT calculation (PBE-GGA) of a relaxed structure of Np4Fe.

**Magnetization**: 2.4797 μB per atom
**Space group**: Fd-3m
**DFT formation energy**: 0.829 eV per atom

```
10
Lattice="0.000 4.762 4.762 4.762 0.000 4.762 4.762 4.762 0.000" Properties=species:S:1:pos:R:3 pbc="T T T"
Np 7.347 4.558 4.558
Np 2.177 2.177 2.177
Np 4.966 4.966 2.177
Np 4.966 2.177 4.966
Np 4.558 7.347 4.558
Np 4.558 4.558 7.347
Np 7.347 7.347 7.347
Np 2.177 4.966 4.966
Fe 3.572 3.572 3.572
Fe 5.953 5.953 5.953
```

No. 3
The following is a DFT calculation (PBE-GGA) of a relaxed structure of Na7Y3TaSi3P3O24.

**Magnetization**: 0.0000 μB per atom
**Space group**: P1
**DFT formation energy**: -3.054 eV per atom

```
123
Lattice="9.348 0.000 0.000 -4.667 8.104 0.000 -0.013 -0.022 22.844" Properties=species:S:1:pos:R:3 pbc="T T T"
Na 0.000 0.000 0.000
Na -1.618 2.786 17.394
Na -0.092 0.277 15.594
Na -1.498 2.774 5.889
Na -0.264 5.401 15.590
Na 1.236 3.118 19.134
Na 3.027 0.100 13.708
Na 3.050 0.206 2.113
Na 0.177 5.235 7.850
Na -0.030 5.666 0.107
Na 1.777 2.783 11.775
Na 1.299 7.892 11.781
Na 2.919 5.489 9.772
Na 3.016 5.437 21.028
Na 4.707 2.630 15.609
Na 6.118 0.363 3.884
Na 4.667 3.060 7.811
Na 1.856 8.082 19.302
Na 8.827 0.068 7.665
Na 5.939 5.233 19.234
Na 5.964 5.752 11.894
Y 3.025 0.100 10.138
Y 3.059 0.103 21.684
Y 3.000 5.477 13.344
Y 3.013 5.487 6.287
Y 3.006 5.505 17.744
Y 7.671 2.747 20.858
Y 7.694 2.751 9.273
Y 7.692 2.774 13.994
Y 7.687 2.812 2.608
Ta 2.989 0.039 17.044
Ta 2.975 0.138 5.500
Ta 3.076 5.500 1.863
Si 0.238 0.098 19.400
Si -0.295 5.745 19.379
Si 1.623 2.486 7.868
Si 1.618 2.936 15.535
Si 5.769 0.094 7.818
Si 1.510 7.964 15.521
Si 6.310 0.256 0.403
Si 4.500 7.904 4.176
Si 5.899 5.523 15.528
P -2.971 5.830 7.799
P -0.213 5.226 11.645
P 1.189 2.899 0.325
P 0.226 5.608 4.110
P 4.401 2.426 19.256
P 4.331 3.010 4.155
P 4.840 2.829 11.649
P 6.183 5.229 0.286
P 9.069 0.280 11.655
O -0.644 1.095 12.909
O -2.363 4.323 15.401
O -2.432 4.494 1.399
O -0.642 1.480 19.288
O -2.198 4.489 7.767
O -2.749 6.585 9.117
O 1.067 0.014 20.779
O -2.691 6.701 0.271
O 1.266 0.092 11.677
O -1.126 4.336 19.274
O -3.181 7.964 4.220
O -2.556 6.916 15.765
O -0.006 2.530 7.744
O 1.368 0.153 18.127
O -2.403 6.719 6.616
O 0.026 2.628 15.417
O 0.173 2.710 1.445
O -0.736 4.460 3.891
O -0.702 4.472 12.895
O -0.601 4.447 10.359
O 0.406 3.200 21.851
O -0.867 6.640 11.693
O 2.160 1.452 6.604
O 2.069 1.651 0.258
O -0.851 6.728 18.102
O 2.136 1.827 9.253
O -0.590 6.541 20.754
O 2.363 1.469 15.766
O -0.521 6.994 4.103
O 1.809 3.925 16.810
O 0.956 5.433 5.447
O 2.328 3.565 14.193
O 1.338 5.350 11.657
O 2.063 4.181 0.640
O -0.133 8.045 15.752
O 1.321 5.535 19.276
O 3.627 1.589 4.159
O 2.294 3.967 7.785
O 1.340 5.706 2.967
O 0.053 8.010 0.363
O 4.655 0.139 6.525
O 3.939 1.554 11.695
O 3.823 1.745 20.487
O 0.254 8.016 9.189
O 3.978 1.592 17.982
O 1.687 7.029 14.183
O 3.700 3.888 3.010
O 3.825 3.853 19.191
O 2.098 6.904 7.760
O 4.093 3.682 5.503
O 3.956 4.107 11.673
O 2.421 6.841 0.608
O 2.274 7.305 16.794
O 6.671 1.112 1.716
O 5.744 2.771 12.893
O 5.949 2.451 19.281
O 5.706 2.892 10.362
O 5.825 2.759 3.959
O 6.584 1.516 7.751
O 7.013 0.858 21.897
O 6.714 1.389 15.400
O 4.620 5.275 0.605
O 3.704 6.994 11.670
O 4.013 6.801 2.954
O 3.995 6.858 19.285
O 4.960 5.209 16.810
O 4.863 5.582 7.675
O 3.917 7.299 5.546
O 5.008 5.847 14.187
O 6.355 4.481 21.780
O 8.577 1.025 10.382
O 8.483 1.249 3.974
```

No. 4
The following is a DFT calculation (PBE-GGA) of a relaxed structure of ZrAl5Cu7.

**Space group**: Imm2
**DFT formation energy**: -0.292 eV per atom

```
13
Lattice="-2.507 4.250 4.275 2.507 -4.250 4.275 2.507 4.250 -4.275" Properties=species:S:1:pos:R:3 pbc="T T T"
Zr 0.000 0.000 0.000
Al 2.507 0.000 1.702
Al 0.000 2.891 0.045
Al 0.000 0.000 2.960
Al 0.000 0.000 5.642
Al 0.000 5.608 0.045
Cu 1.251 2.138 -2.122
Cu 1.257 -2.112 2.153
Cu 2.507 1.873 -0.007
Cu 1.251 6.361 -2.122
Cu 1.257 2.112 2.153
Cu 0.000 2.376 4.268
Cu 0.000 4.250 2.414
```

No. 5
The following is a DFT calculation (PBE-GGA) of a relaxed structure of Sr4Y2MgRu2O12.

**Magnetization**: 0.1907 μB per atom
**Space group**: P1
**Energy above the lowest structure with this stoichiometry**: 25 meV/atom
**DFT formation energy**: -2.701 eV per atom

```
21
Lattice="5.913 0.000 0.000 0.487 6.248 0.000 0.202 0.250 8.208" Properties=species:S:1:pos:R:3 pbc="T T T"
Sr 0.000 0.000 0.000
Sr 1.051 6.105 3.995
Sr 2.352 2.673 3.848
Sr 3.082 3.614 7.835
Y 3.261 0.507 6.205
Y 5.705 3.026 1.781
Mg 4.349 4.794 3.946
Ru 2.992 0.125 1.903
Ru 6.206 3.398 6.035
O 0.610 3.863 7.978
O 1.250 1.317 1.933
O 1.411 1.705 6.089
O 2.059 4.486 5.625
O 2.668 4.653 2.577
O 3.098 5.824 0.022
O 3.220 0.445 3.959
O 4.009 1.778 1.414
O 4.623 2.183 6.474
O 5.191 5.121 5.805
O 5.255 5.283 2.122
O 5.744 3.217 4.016
```

No. 6
The following is a DFT calculation (PBE-GGA) of a relaxed structure of CuAuClO2.

**Magnetization**: 0.0000 μB per atom
**Space group**: P1
**DFT formation energy**: -0.486 eV per atom

```
10
Lattice="4.358 0.000 0.000 0.157 5.237 0.000 1.288 1.523 7.506" Properties=species:S:1:pos:R:3 pbc="T T T"
Cu 0.000 0.000 0.000
Cu 2.246 2.606 0.001
Au 2.184 5.620 2.179
Au 3.712 1.128 5.343
Cl 2.174 2.147 3.831
Cl 3.764 4.630 3.712
O 0.891 1.456 0.838
O 1.496 4.165 0.826
O 4.352 2.622 6.621
O 4.938 5.272 6.693
```

Q: The lowest DFT formation energy belongs to which entry?
A: Na7Y3TaSi3P3O24